1.
DFT (PBE with a Hubbard U) results for a relaxed LiMn3O6 crystal.

Properties
Calculated volume (Å³ per cell): 229.24
Symmetry: Cc (9)
Formation enthalpy at 0 K (eV per atom): -1.944
Total magnetization (μB per formula unit): 10.0

Geometry as CIF:
```
data_LiMn3O6
_chemical_formula_sum 'Li2 Mn6 O12'
_space_group_name_H-M_alt 'P 1'
_space_group_IT_number 1
_cell_length_a 5.1368
_cell_length_b 5.1368
_cell_length_c 10.7662
_cell_angle_alpha 106.66
_cell_angle_beta 106.66
_cell_angle_gamma 58.70
loop_
_space_group_symop_operation_xyz
'x,y,z'
loop_
_atom_site_label
_atom_site_fract_x
_atom_site_fract_y
_atom_site_fract_z
_atom_site_occupancy
Li1 0.0754 0.9246 0.5000 1
Li2 0.9246 0.0754 0.0000 1
Mn1 0.0026 0.8528 0.2363 1
Mn2 0.1893 0.3434 0.7504 1
Mn3 0.3434 0.1893 0.2504 1
Mn4 0.5170 0.6753 0.7462 1
Mn5 0.6753 0.5170 0.2462 1
Mn6 0.8528 0.0026 0.7363 1
O1 0.0108 0.2150 0.3482 1
O2 0.1523 0.6653 0.6361 1
O3 0.2150 0.0108 0.8482 1
O4 0.2988 0.8213 0.1481 1
O5 0.3720 0.5690 0.3394 1
O6 0.4704 0.9671 0.6486 1
O7 0.5690 0.3720 0.8394 1
O8 0.6653 0.1523 0.1361 1
O9 0.7278 0.8848 0.3400 1
O10 0.8213 0.2988 0.6481 1
O11 0.8848 0.7278 0.8400 1
O12 0.9671 0.4704 0.1486 1
```

2.
DFT (PBE with a Hubbard U) results for a relaxed Li4Mn3O7 crystal.

Properties
Calculated volume (Å³ per cell): 259.81
Symmetry: C2/m (12)
Formation enthalpy at 0 K (eV per atom): -2.126
Total magnetization (μB per formula unit): 11.0

Geometry as CIF:
```
data_Li4Mn3O7
_chemical_formula_sum 'Li8 Mn6 O14'
_space_group_name_H-M_alt 'P 1'
_space_group_IT_number 1
_cell_length_a 9.8927
_cell_length_b 9.8927
_cell_length_c 9.8860
_cell_angle_alpha 110.88
_cell_angle_beta 110.88
_cell_angle_gamma 16.73
loop_
_space_group_symop_operation_xyz
'x,y,z'
loop_
_atom_site_label
_atom_site_fract_x
_atom_site_fract_y
_atom_site_fract_z
_atom_site_occupancy
Li1 0.0000 0.0000 0.0000 1
Li2 0.0675 0.0675 0.7897 1
Li3 0.2083 0.2083 0.3465 1
Li4 0.3628 0.3628 0.9352 1
Li5 0.5000 0.5000 0.5000 1
Li6 0.6372 0.6372 0.0648 1
Li7 0.7917 0.7917 0.6535 1
Li8 0.9325 0.9325 0.2103 1
Mn1 0.1407 0.1407 0.5623 1
Mn2 0.2870 0.2870 0.1458 1
Mn3 0.4358 0.4358 0.7305 1
Mn4 0.5642 0.5642 0.2695 1
Mn5 0.7130 0.7130 0.8542 1
Mn6 0.8593 0.8593 0.4377 1
O1 0.0369 0.0369 0.3751 1
O2 0.1037 0.1037 0.1880 1
O3 0.1781 0.1781 0.9485 1
O4 0.2486 0.2486 0.7606 1
O5 0.3315 0.3315 0.5447 1
O6 0.3921 0.3921 0.3421 1
O7 0.4747 0.4747 0.1249 1
O8 0.5253 0.5253 0.8751 1
O9 0.6079 0.6079 0.6579 1
O10 0.6685 0.6685 0.4553 1
O11 0.7514 0.7514 0.2394 1
O12 0.8219 0.8219 0.0515 1
O13 0.8963 0.8963 0.8120 1
O14 0.9631 0.9631 0.6249 1
```

3.
DFT (PBE with a Hubbard U) results for a relaxed Li5Mn4O8 crystal.

Properties
Calculated volume (Å³ per cell): 332.53
Symmetry: P1 (1)
Formation enthalpy at 0 K (eV per atom): -2.057
Total magnetization (μB per formula unit): 12.0

Geometry as CIF:
```
data_Li5Mn4O8
_chemical_formula_sum 'Li10 Mn8 O16'
_space_group_name_H-M_alt 'P 1'
_space_group_IT_number 1
_cell_length_a 5.8212
_cell_length_b 6.3578
_cell_length_c 10.5039
_cell_angle_alpha 81.65
_cell_angle_beta 74.08
_cell_angle_gamma 62.84
loop_
_space_group_symop_operation_xyz
'x,y,z'
loop_
_atom_site_label
_atom_site_fract_x
_atom_site_fract_y
_atom_site_fract_z
_atom_site_occupancy
Li1 0.0000 0.0000 0.0000 1
Li2 0.9999 0.4995 0.0003 1
Li3 0.2349 0.6823 0.8368 1
Li4 0.2695 0.8266 0.6460 1
Li5 0.4994 0.0000 0.5004 1
Li6 0.4994 0.4991 0.5010 1
Li7 0.5005 0.4993 0.0000 1
Li8 0.7297 0.1733 0.3552 1
Li9 0.7652 0.3162 0.1639 1
Li10 0.9993 0.0000 0.5007 1
Mn1 0.9996 0.4998 0.5004 1
Mn2 0.2469 0.2611 0.7469 1
Mn3 0.2519 0.2490 0.2468 1
Mn4 0.2542 0.7395 0.2529 1
Mn5 0.4998 0.9997 0.0003 1
Mn6 0.7455 0.2597 0.7476 1
Mn7 0.7479 0.7499 0.7540 1
Mn8 0.7529 0.7380 0.2538 1
O1 0.1058 0.6399 0.6399 1
O2 0.1066 0.6299 0.1343 1
O3 0.1232 0.1501 0.6245 1
O4 0.1479 0.1179 0.1239 1
O5 0.3742 0.3549 0.8745 1
O6 0.3786 0.3713 0.3583 1
O7 0.3944 0.8582 0.3719 1
O8 0.3954 0.8646 0.8812 1
O9 0.6046 0.1339 0.1198 1
O10 0.6045 0.1413 0.6280 1
O11 0.6208 0.6282 0.6423 1
O12 0.6246 0.6440 0.1267 1
O13 0.8519 0.8808 0.8769 1
O14 0.8775 0.8492 0.3756 1
O15 0.8936 0.3600 0.3607 1
O16 0.8938 0.3694 0.8668 1
```